Computed, not measured: SrEuAlO4 after structural relaxation at the PBE level of DFT.

- symmetry = No. 107
- total magnetization (μB per cell) = 6.0
- energy relative to the elements (eV per atom) = -3.271
- total DFT energy (no corrections) (eV for the cell shown) = -55.633

abc: 6.7431 6.7431 6.7431
angles: 147.59 147.59 46.49
Fractional positions:
O 0.1641 0.1641 0.0000
O 0.4947 0.9947 0.5000
Sr 0.6447 0.6447 0.0000
Al 0.0013 0.0013 0.0000
O 0.8408 0.8408 0.0000
Eu 0.3597 0.3597 0.0000
O 0.9947 0.4947 0.5000